# SiO2 | the Materials Project | r²SCAN | relaxed
data_SiO2
_chemical_formula_sum 'Si16 O32'
_cell_length_a 5.017
_cell_length_b 12.680
_cell_length_c 14.825
_cell_angle_alpha 103.14
_cell_angle_beta 90.94
_cell_angle_gamma 100.65
_space_group_name_H-M_alt 'P -1'
_space_group_IT_number 2
loop_
_space_group_symop_operation_xyz
'x,y,z'
'-x,-y,-z'
loop_
_atom_site_label
_atom_site_type_symbol
_atom_site_fract_x
_atom_site_fract_y
_atom_site_fract_z
Si1 Si 0.118 0.098 0.144
Si2 Si 0.145 0.145 0.941
Si3 Si 0.221 0.527 0.391
Si4 Si 0.229 0.583 0.872
Si5 Si 0.294 0.717 0.074
Si6 Si 0.326 0.782 0.771
Si7 Si 0.341 0.557 0.198
Si8 Si 0.341 0.612 0.596
O1 O 0.009 0.759 0.076
O2 O 0.019 0.030 0.870
O3 O 0.045 0.826 0.784
O4 O 0.095 0.458 0.149
O5 O 0.102 0.522 0.624
O6 O 0.111 0.133 0.046
O7 O 0.287 0.618 0.489
O8 O 0.297 0.620 0.982
O9 O 0.318 0.586 0.309
O10 O 0.329 0.668 0.164
O11 O 0.333 0.686 0.827
O12 O 0.353 0.733 0.662
O13 O 0.373 0.426 0.392
O14 O 0.377 0.482 0.829
O15 O 0.426 0.117 0.186
O16 O 0.463 0.179 0.924
# formation enthalpy at 0 K: -3.022 eV/atom
# volume: 901 Å³ per cell



# NaH | the Materials Project | r²SCAN | relaxed
data_NaH
_chemical_formula_sum 'Na4 H4'
_cell_length_a 4.773
_cell_length_b 4.773
_cell_length_c 4.773
_cell_angle_alpha 90.00
_cell_angle_beta 90.00
_cell_angle_gamma 90.00
_space_group_name_H-M_alt 'F m -3 m'
_space_group_IT_number 225
_space_group_name_Hall '-F 4 2 3'
loop_
_atom_site_label
_atom_site_type_symbol
_atom_site_fract_x
_atom_site_fract_y
_atom_site_fract_z
Na1 Na 0.000 0.000 0.000
H1 H 0.000 0.000 0.500
# formation enthalpy at 0 K: -0.293 eV/atom
# volume: 109 Å³ per cell